Record 1
Material: Li2MnP2O8
Method: DFT, PBE with a Hubbard U
State: optimized geometry

For the total magnetic moment, the calculation gives 6.00 μB/cell. The MP2020-corrected energy comes out at -7.336 eV/atom. As for the calculated volume: 11.6 Å³/atom.

Cell lengths 4.822, 8.165, 8.832 Å; angles 115.68, 104.16, 90.05 degrees
Element x y z (fractional)
O 0.090 0.519 0.879
P 0.317 0.199 0.190
O 0.012 0.816 0.186
O 0.555 0.981 0.818
O 0.445 0.276 0.086
Li 0.366 0.593 0.398
O 0.463 0.295 0.787
O 0.445 0.019 0.182
O 0.911 0.481 0.121
Li 0.114 0.909 0.682
O 0.555 0.724 0.914
O 0.989 0.184 0.814
P 0.866 0.680 0.236
P 0.134 0.320 0.764
O 0.980 0.161 0.122
Li 0.886 0.091 0.318
O 0.607 0.661 0.621
Mn 0.725 0.236 0.961
O 0.393 0.339 0.378
O 0.985 0.268 0.573
O 0.020 0.839 0.878
P 0.683 0.801 0.810
Mn 0.275 0.764 0.039
O 0.015 0.732 0.427
Li 0.634 0.407 0.602
O 0.537 0.705 0.212



Record 2
Material: LiMnPO4
Method: DFT, PBE with a Hubbard U
State: optimized geometry

For the total magnetic moment, the calculation gives 30.00 μB/cell. The MP2020-corrected energy comes out at -7.747 eV/atom. As for the calculated volume: 13.2 Å³/atom.

Cell lengths 8.835, 8.835, 8.196 Å; angles 90.00, 90.00, 120.00 degrees
Element x y z (fractional)
O 0.069 0.221 0.516
O 0.270 0.418 0.176
O 0.909 0.486 0.005
Li 0.667 0.333 0.673
P 0.355 0.040 0.515
O 0.151 0.931 0.516
O 0.730 0.582 0.676
P 0.960 0.315 0.515
O 0.852 0.270 0.676
O 0.825 0.245 0.373
O 0.148 0.730 0.176
O 0.755 0.580 0.373
O 0.418 0.148 0.676
Li 0.000 0.000 0.107
O 0.582 0.852 0.176
O 0.420 0.175 0.373
Li 0.000 0.000 0.607
Mn 0.341 0.027 0.903
O 0.175 0.755 0.873
O 0.245 0.420 0.873
O 0.580 0.825 0.873
O 0.221 0.151 0.016
P 0.645 0.960 0.015
Li 0.667 0.333 0.189
O 0.422 0.909 0.505
P 0.315 0.355 0.015
Mn 0.659 0.973 0.403
Mn 0.973 0.314 0.903
O 0.779 0.849 0.516
Mn 0.314 0.341 0.403
Li 0.333 0.667 0.689
Mn 0.686 0.659 0.903
O 0.849 0.069 0.016
P 0.685 0.645 0.515
Mn 0.027 0.686 0.403
O 0.514 0.422 0.005
O 0.486 0.578 0.505
Li 0.333 0.667 0.173
O 0.578 0.091 0.005
P 0.040 0.685 0.015
O 0.091 0.514 0.505
O 0.931 0.779 0.016